First-principles (PBE-GGA) data for a geometry-optimized Na2MgCu2TeO6 structure, as listed in the Materials Project.

The structure in POSCAR format:
```
Na2MgCu2TeO6
1.0
0.544 4.881 -4.372
-2.006 -4.658 -2.284
-3.553 1.996 4.481
O Cu Na Mg Te
6 2 2 1 1
Cartesian
-1.529 0.699 -4.688
-0.669 1.857 -0.456
-3.123 2.629 -2.204
-1.912 -0.393 0.125
-4.365 0.377 -1.626
-3.506 1.536 2.608
-3.687 3.788 0.308
-1.346 -1.555 -2.389
-1.584 4.331 -1.851
-3.450 -2.096 -0.226
-2.516 1.116 -1.042
-1.472 0.231 -6.608
```

Calculated formation energy   -19.38 eV per formula unit



First-principles (PBE-GGA) data for a geometry-optimized Mg14GaCu structure, as listed in the Materials Project.

The structure in POSCAR format:
```
Mg14GaCu
1.0
-5.979 0.839 -1.527
2.180 -5.762 1.194
-2.350 1.148 9.835
Mg Cu Ga
14 1 1
Cartesian
-6.720 0.740 7.599
-2.428 -0.268 3.210
-3.610 -1.245 0.599
-3.688 0.347 8.482
-0.666 -3.952 6.884
-3.631 -3.528 6.126
-4.416 -2.720 3.186
-2.607 -2.509 9.074
-5.511 0.149 2.538
-1.347 -3.125 3.802
-2.522 -4.121 1.195
-4.724 -0.637 5.527
-1.752 -1.069 6.288
-5.602 -2.140 8.151
-0.522 -1.620 1.381
0.557 -4.506 1.976
```

Calculated formation energy   -0.09 eV per formula unit



First-principles (PBE-GGA) data for a geometry-optimized LiTm2Br5 structure, as listed in the Materials Project.

The structure in POSCAR format:
```
LiTm2Br5
1.0
-3.770 3.469 8.304
-3.718 -3.190 8.438
6.095 0.151 5.162
Tm Br Li
4 10 2
Cartesian
-3.949 1.998 9.350
-0.520 2.036 9.899
2.556 -1.568 12.554
-0.873 -1.606 12.005
0.936 0.539 5.247
-2.200 -2.412 9.714
-2.329 -0.110 16.657
0.807 2.842 12.191
-2.477 0.751 11.552
-5.383 0.668 14.059
0.579 -0.248 14.154
3.990 -0.238 7.846
-1.971 0.678 7.750
1.084 -0.321 10.353
1.188 -1.520 6.800
-1.885 1.734 4.152
```

Calculated formation energy   -13.95 eV per formula unit



First-principles (PBE-GGA) data for a geometry-optimized Zr3InF15 structure, as listed in the Materials Project.

The structure in POSCAR format:
```
Zr3InF15
1.0
5.180 -6.159 0.000
5.180 6.159 0.000
-2.143 0.000 7.758
F Zr In
30 6 2
Cartesian
2.018 -1.772 7.466
4.653 -1.455 5.595
3.565 1.455 2.162
2.494 4.704 6.041
5.862 2.295 2.712
1.799 0.030 4.033
4.791 3.864 6.591
2.458 -4.674 6.079
8.051 -0.030 0.154
2.356 -2.295 5.045
0.983 2.616 5.818
5.833 -0.629 1.362
4.689 1.485 5.557
5.760 4.674 1.678
5.724 -4.704 1.716
5.114 -2.924 3.505
7.235 -2.616 1.939
-0.419 0.629 5.241
6.419 -0.030 3.725
6.200 1.772 0.292
3.529 -1.485 2.200
4.176 3.235 0.374
3.427 -3.864 1.166
3.090 -4.388 3.587
3.104 2.924 4.253
0.167 0.030 7.603
2.385 0.629 6.395
8.637 -0.629 2.517
4.043 -3.235 7.384
5.129 4.388 4.171
0.983 -0.854 5.818
7.235 0.854 1.939
4.137 3.507 2.477
4.081 -3.507 5.280
5.153 -2.652 1.401
3.066 2.652 6.356
6.164 0.000 5.818
2.055 0.000 1.939
```

Calculated formation energy   -71.37 eV per formula unit



First-principles (PBE-GGA) data for a geometry-optimized ThCl4 structure, as listed in the Materials Project.

The structure in POSCAR format:
```
ThCl4
1.0
7.776 -0.635 1.665
0.844 -3.300 7.214
-4.240 -2.244 -6.374
Cl Th
8 2
Cartesian
4.612 -4.333 4.587
-0.593 -5.504 1.394
-0.439 -4.173 4.814
2.706 -3.956 1.857
0.155 -1.390 2.492
5.207 -1.550 2.264
1.120 -2.463 -0.690
-2.178 -4.011 -1.153
0.000 0.000 0.000
3.923 -2.423 -0.135
```

Calculated formation energy   -13.27 eV per formula unit



First-principles (PBE-GGA) data for a geometry-optimized LiAc2Ge structure, as listed in the Materials Project.

The structure in POSCAR format:
```
LiAc2Ge
1.0
1.681 0.527 5.243
-3.318 -1.566 4.138
1.226 -4.497 2.976
Ge Ac Li
1 2 1
Cartesian
-0.206 -2.768 6.179
-0.308 -4.152 9.268
-0.103 -1.384 3.089
0.000 0.000 0.000
```

Calculated formation energy   -1.18 eV per formula unit



First-principles (PBE-GGA) data for a geometry-optimized Te4MoW3Se2S2 structure, as listed in the Materials Project.

The structure in POSCAR format:
```
Te4MoW3Se2S2
1.0
-2.449 1.840 1.480
1.403 -2.615 1.663
27.729 24.602 15.285
Mo Te Se S W
1 4 2 2 3
Cartesian
2.598 2.305 1.432
6.485 5.754 3.575
9.089 8.064 5.010
11.874 9.299 8.082
14.476 11.608 9.516
3.854 2.184 3.661
1.578 0.164 2.406
17.194 15.255 9.478
19.276 17.102 10.625
18.354 15.048 11.654
13.055 11.583 7.196
7.907 5.780 5.895
```

Calculated formation energy   -5.24 eV per formula unit
E above lowest polymorph   20.6 meV/atom



First-principles (PBE-GGA) data for a geometry-optimized Cs3GaBr6 structure, as listed in the Materials Project.

The structure in POSCAR format:
```
Cs3GaBr6
1.0
0.000 5.973 5.973
5.973 0.000 5.973
5.973 5.973 0.000
Ga Cs Br
1 3 6
Cartesian
0.000 0.000 0.000
8.960 8.960 8.960
5.973 5.973 5.973
2.987 2.987 2.987
5.973 5.973 2.575
2.575 5.973 5.973
5.973 2.575 5.973
9.372 5.973 5.973
5.973 5.973 9.372
5.973 9.372 5.973
```

Calculated formation energy   -16.88 eV per formula unit



First-principles (PBE-GGA) data for a geometry-optimized Lu5NiPb3 structure, as listed in the Materials Project.

The structure in POSCAR format:
```
Lu5NiPb3
1.0
4.500 -7.794 0.000
4.500 7.794 0.000
0.000 0.000 6.564
Pb Lu Ni
6 10 2
Cartesian
2.698 4.674 1.641
2.698 -4.674 1.641
5.397 0.000 4.923
1.801 3.120 4.923
1.801 -3.120 4.923
3.602 0.000 1.641
3.439 -5.957 4.923
1.060 1.837 1.641
4.500 -2.598 3.282
2.121 0.000 4.923
1.060 -1.837 1.641
3.439 5.957 4.923
4.500 2.598 3.282
4.500 -2.598 0.000
6.878 0.000 1.641
4.500 2.598 0.000
0.000 0.000 0.000
0.000 0.000 3.282
```

Calculated formation energy   -4.32 eV per formula unit



First-principles (PBE-GGA) data for a geometry-optimized Nd9Ga5S21 structure, as listed in the Materials Project.

The structure in POSCAR format:
```
Nd9Ga5S21
1.0
7.914 -8.691 0.000
7.914 8.691 0.000
-1.630 0.000 11.641
Nd Ga S
18 10 42
Cartesian
4.348 -1.968 6.955
5.470 5.438 10.383
9.999 2.010 4.851
5.117 2.016 0.828
6.822 -6.669 8.734
7.532 6.641 2.999
10.283 3.260 9.018
7.922 -1.286 2.596
5.760 3.254 5.232
1.533 1.247 5.198
8.925 -2.023 10.675
1.549 -1.194 10.296
12.794 1.231 1.450
12.505 -1.237 6.308
3.747 -3.263 2.498
6.434 1.236 9.199
8.641 -3.246 6.507
8.843 -5.448 1.400
9.161 0.000 7.511
4.914 0.000 4.028
9.476 2.847 1.303
2.063 0.000 1.692
6.284 -5.754 5.196
5.461 -2.896 11.027
11.868 -2.938 3.212
12.006 0.000 9.843
8.688 5.834 7.092
3.157 2.907 9.010
9.201 0.777 9.932
7.208 -4.256 10.392
12.841 -0.874 3.520
3.706 0.815 9.796
3.115 1.992 2.866
2.856 4.252 10.836
6.364 -0.827 11.436
8.167 5.130 9.221
9.487 -0.817 5.182
10.043 0.803 2.165
11.437 3.563 0.368
10.125 -2.901 1.787
5.713 4.468 2.535
0.560 1.344 11.236
13.238 -1.268 0.075
7.129 -1.330 8.058
8.228 -4.933 4.280
4.439 -0.787 1.252
12.479 2.916 3.742
9.308 -5.804 7.610
11.384 1.211 7.270
9.123 4.118 3.189
7.748 -7.889 2.468
6.927 5.813 5.688
6.007 7.852 8.895
10.483 4.578 6.412
6.105 2.888 11.516
8.027 2.147 6.964
2.251 -1.205 3.920
6.768 -7.815 6.064
9.223 6.546 0.669
6.586 -3.673 1.470
3.742 -2.912 9.573
6.021 -4.466 7.071
6.679 1.247 3.255
4.615 -6.585 10.593
11.391 -3.751 5.304
10.531 -1.987 8.310
5.138 3.662 8.147
5.730 -2.111 4.412
4.361 0.864 6.082
1.679 -0.795 7.455
```

Calculated formation energy   -65.23 eV per formula unit



First-principles (PBE-GGA) data for a geometry-optimized W2NCl8 structure, as listed in the Materials Project.

The structure in POSCAR format:
```
W2NCl8
1.0
-1.879 2.466 -5.944
5.522 3.814 0.770
4.000 -5.300 -2.383
W Cl N
2 8 1
Cartesian
5.245 -2.380 -1.818
2.398 3.360 -5.739
1.848 1.882 -4.075
3.785 4.539 -4.354
3.858 -3.559 -3.203
4.434 1.675 -6.200
2.596 -1.017 -5.904
5.047 1.996 -1.652
5.794 -0.902 -3.482
3.208 -0.695 -1.357
2.761 1.907 0.385
```

Calculated formation energy   -14.00 eV per formula unit



First-principles (PBE-GGA) data for a geometry-optimized FeCu4Re14Mo6S40 structure, as listed in the Materials Project.

The structure in POSCAR format:
```
FeCu4Re14Mo6S40
1.0
3.401 5.923 0.000
-3.401 5.923 0.000
0.000 3.840 27.819
S Re Mo Cu Fe
40 14 6 4 1
Cartesian
0.000 7.847 20.000
-1.851 4.993 3.519
1.558 10.846 20.234
-1.833 8.899 22.993
0.000 5.736 6.356
1.851 4.993 3.519
0.000 7.922 3.297
-1.842 8.892 14.671
0.000 9.697 0.755
-1.567 7.012 0.740
-1.568 6.947 17.433
0.000 9.683 9.102
0.000 9.633 17.449
0.000 5.664 23.008
-1.558 6.876 25.797
1.842 8.892 14.671
-1.833 4.994 11.868
1.833 8.899 22.993
0.000 3.941 8.859
0.000 13.589 20.224
-1.819 8.959 6.333
0.000 11.740 22.782
1.567 7.012 0.740
-1.559 6.940 9.112
0.000 1.759 11.884
0.000 3.928 0.520
1.558 6.876 25.797
-1.558 10.846 20.234
0.000 7.835 11.659
0.000 3.876 25.560
0.000 11.817 14.436
0.000 1.797 3.506
1.559 6.940 9.112
1.568 6.947 17.433
1.833 4.994 11.868
0.000 3.865 17.223
1.819 8.959 6.333
0.000 11.803 6.095
0.000 9.618 25.786
0.000 5.714 14.660
1.415 3.114 2.190
0.000 11.801 10.089
-1.416 7.018 13.334
0.000 3.861 21.213
0.000 7.831 15.650
1.416 7.018 13.334
1.991 5.069 7.779
-1.415 3.114 2.190
-1.991 5.069 7.779
1.985 8.970 18.898
-1.985 8.970 18.898
0.000 11.737 26.775
1.417 10.923 24.458
-1.417 10.923 24.458
0.000 9.475 13.337
0.000 1.593 7.780
0.000 3.928 4.490
0.000 5.568 2.195
0.000 13.381 24.462
0.000 5.505 18.902
0.000 7.815 22.255
0.000 3.909 11.126
0.000 11.784 16.693
0.000 3.845 27.815
0.000 7.874 5.558
```

Calculated formation energy   -57.49 eV per formula unit